Density functional theory data (PBE) for an optimized crystal structure of GdAsO3.

a = 4.4423 Å, b = 12.0604 Å, c = 6.5002 Å
α = 90.00°, β = 120.09°, γ = 90.00°
With the nearest neighbours (Å) after each atom.
Positions (direct):
Gd: 0.1458 0.1451 0.1507  6 O 2.32-2.49
Gd: 0.1458 0.3549 0.6507  6 O 2.32-2.49
Gd: 0.8542 0.6451 0.3493  6 O 2.32-2.49
Gd: 0.8542 0.8549 0.8493  6 O 2.32-2.49
As: 0.2886 0.0676 0.7227  3 O 1.81-1.83
As: 0.2886 0.4324 0.2227  3 O 1.81-1.83
As: 0.7114 0.5676 0.7773  3 O 1.81-1.83
As: 0.7114 0.9324 0.2773  3 O 1.81-1.83
O: 0.0586 0.5501 0.7098  1 As 1.82
O: 0.0586 0.9499 0.2098  1 As 1.82
O: 0.1137 0.1765 0.5017  1 As 1.81
O: 0.1137 0.3235 0.0017  1 As 1.81
O: 0.4526 0.6522 0.5124  1 As 1.83
O: 0.4526 0.8478 0.0124  1 As 1.83
O: 0.5474 0.1522 0.9876  1 As 1.83
O: 0.5474 0.3478 0.4876  1 As 1.83
O: 0.8863 0.6765 0.9983  1 As 1.81
O: 0.8863 0.8235 0.4983  1 As 1.81
O: 0.9414 0.0501 0.7902  1 As 1.82
O: 0.9414 0.4499 0.2902  1 As 1.82

Calculated values
Space group: No. 14
E_form in eV/f.u.: -13.79
Electronic total energy in eV/atom: -9.062